--- w ---
First-principles (PBE) data for a geometry-optimized Na2SeO9 structure, as listed in the Materials Project database.

a = 7.8800 Å, b = 7.8800 Å, c = 12.0388 Å
α = 90.00°, β = 90.00°, γ = 90.00°
Last column: nearest neighbours and their distance in Å.
Space group P4_122 (No. 91)
One atom of each set of equivalent atoms:
Na  0.0000  0.1849  0.0000  4 O 2.30-2.43
Na  0.2517  0.5000  0.2500  6 O 2.53-2.57
Se  0.0000  0.1930  0.5000  2 O 1.71
O  0.0650  0.4890  0.6986  1 O 1.25
O  0.0675  0.1459  0.1845  1 Se 1.71
O  0.1788  0.1788  0.3750  2 Se 2.06
O  0.2843  0.3574  0.9876  1 O 1.27
O  0.3118  0.4906  0.0439  1 O 1.27

Results
**Crystal system**: tetragonal
**Total magnetization**: 21.06 μB/cell

--- x ---
First-principles (PBE) data for a geometry-optimized Na2SeO9 structure, as listed in the Materials Project database.

a = 7.7195 Å, b = 7.7195 Å, c = 13.5873 Å
α = 90.00°, β = 90.00°, γ = 90.00°
Last column: nearest neighbours and their distance in Å.
Space group P4_322 (No. 95)
One atom of each set of equivalent atoms:
Na  0.0000  0.1141  0.0000  6 O 2.42-2.52
Na  0.0904  0.5000  0.7500  4 O 2.40-2.44
Se  0.0000  0.4925  0.5000  2 O 1.68
O  0.0199  0.3748  0.0977  1 Se 1.68
O  0.1003  0.1003  0.6250  2 O 1.37
O  0.1290  0.2023  0.7055  1 O 1.37
O  0.2985  0.3285  0.2970  1 O 1.26
O  0.3249  0.4600  0.9634  1 O 1.26

Results
**Crystal system**: tetragonal
**Total magnetization**: 16.02 μB/cell

Bottom line: w, by a margin of 107 meV per atom.